The following is a DFT calculation (meta-GGA r2SCAN) of crystalline Er2NiOs at its relaxed geometry.

The structure in POSCAR format:
```
Er2NiOs
1.0
0.000 3.343 3.343
3.343 0.000 3.343
3.343 3.343 0.000
Er Ni Os
2 1 1
direct
0.250 0.250 0.250 Er
0.750 0.750 0.750 Er
0.000 0.000 0.000 Ni
0.500 0.500 0.500 Os
```

Output
Space-group type: Fm-3m (225)
ΔH_f (0 K), eV per formula unit: -1.6
Crystal system: cubic
Magnetic moment, μB per formula unit: 0.320